DFT (PBE) results for CsB9O13 after structural relaxation.

Properties
The value obtained for the calculated volume is 1135.6 Å³/cell. The value obtained for the total energy is -709.59 eV for the cell shown. The theoretical density comes out at 2.6 g/cm³. The formation energy comes out at -255.9 kJ/mol of atoms.

abc: 9.3688 9.3688 12.9373
angles: 90.00 90.00 90.00
With the nearest neighbours (Å) after each atom.
Fractional positions:
Cs 0.0000 0.4283 0.0000  2 O 2.97
Cs 0.0000 0.5717 0.5000  2 O 2.97
Cs 0.4283 0.0000 0.7500  2 O 2.97
Cs 0.5717 0.0000 0.2500  2 O 2.97
B 0.0152 0.1506 0.8118  3 O 1.36-1.38
B 0.0152 0.8494 0.6882  3 O 1.36-1.38
B 0.1118 0.3305 0.7009  3 O 1.34-1.40
B 0.1118 0.6695 0.7991  3 O 1.34-1.40
B 0.1485 0.3066 0.2775  3 O 1.32-1.41
B 0.1485 0.6934 0.2225  3 O 1.32-1.41
B 0.1506 0.0152 0.9382  3 O 1.36-1.38
B 0.1506 0.9848 0.5618  3 O 1.36-1.38
B 0.3066 0.1485 0.4725  3 O 1.32-1.41
B 0.3066 0.8515 0.0275  3 O 1.32-1.41
B 0.3305 0.1118 0.0491  3 O 1.34-1.40
B 0.3305 0.8882 0.4509  3 O 1.34-1.40
B 0.3650 0.4342 0.7019  2 O 1.33-1.43
B 0.3650 0.5658 0.7981  2 O 1.33-1.43
B 0.3806 0.3806 0.3750  4 O 1.46-1.48
B 0.3806 0.6194 0.1250  4 O 1.46-1.48
B 0.4342 0.3650 0.0481  2 O 1.33-1.43
B 0.4342 0.6350 0.4519  2 O 1.33-1.43
B 0.5658 0.3650 0.9519  2 O 1.33-1.43
B 0.5658 0.6350 0.5481  2 O 1.33-1.43
B 0.6194 0.3806 0.6250  4 O 1.46-1.48
B 0.6194 0.6194 0.8750  4 O 1.46-1.48
B 0.6350 0.4342 0.2981  2 O 1.33-1.43
B 0.6350 0.5658 0.2019  2 O 1.33-1.43
B 0.6695 0.1118 0.9509  3 O 1.34-1.40
B 0.6695 0.8882 0.5491  3 O 1.34-1.40
B 0.6934 0.1485 0.5275  3 O 1.32-1.41
B 0.6934 0.8515 0.9725  3 O 1.32-1.41
B 0.8494 0.0152 0.0618  3 O 1.36-1.38
B 0.8494 0.9848 0.4382  3 O 1.36-1.38
B 0.8515 0.3066 0.7225  3 O 1.32-1.41
B 0.8515 0.6934 0.7775  3 O 1.32-1.41
B 0.8882 0.3305 0.2991  3 O 1.34-1.40
B 0.8882 0.6695 0.2009  3 O 1.34-1.40
B 0.9848 0.1506 0.1882  3 O 1.36-1.38
B 0.9848 0.8494 0.3118  3 O 1.36-1.38
O 0.0278 0.3664 0.3267  2 B 1.40-1.41
O 0.0278 0.6336 0.1733  2 B 1.40-1.41
O 0.0341 0.0341 0.8750  2 B 1.37
O 0.0341 0.9659 0.6250  2 B 1.37
O 0.1204 0.1968 0.2055  2 B 1.36-1.41
O 0.1204 0.8032 0.2945  2 B 1.36-1.41
O 0.1332 0.2183 0.7708  2 B 1.38-1.40
O 0.1332 0.7817 0.7292  2 B 1.38-1.40
O 0.1968 0.1204 0.5445  2 B 1.36-1.41
O 0.1968 0.8796 0.9555  2 B 1.36-1.41
O 0.2183 0.1332 0.9792  2 B 1.38-1.40
O 0.2183 0.8668 0.5208  2 B 1.38-1.40
O 0.2232 0.4064 0.6659  2 B 1.34-1.43
O 0.2232 0.5936 0.8341  2 B 1.34-1.43
O 0.2824 0.3446 0.2910  2 B 1.32-1.46
O 0.2824 0.6554 0.2090  2 B 1.32-1.46
O 0.3446 0.2824 0.4590  2 B 1.32-1.46
O 0.3446 0.7176 0.0410  2 B 1.32-1.46
O 0.3597 0.4702 0.0916  2 B 1.33-1.48
O 0.3597 0.5298 0.4084  2 B 1.33-1.48
O 0.3664 0.0278 0.4233  2 B 1.40-1.41
O 0.3664 0.9722 0.0767  2 B 1.40-1.41
O 0.4064 0.2232 0.0841  2 B 1.34-1.43
O 0.4064 0.7768 0.4159  2 B 1.34-1.43
O 0.4702 0.3597 0.6584  2 B 1.33-1.48
O 0.4702 0.6403 0.8416  2 B 1.33-1.48
O 0.5298 0.3597 0.3416  2 B 1.33-1.48
O 0.5298 0.6403 0.1584  2 B 1.33-1.48
O 0.5936 0.2232 0.9159  2 B 1.34-1.43
O 0.5936 0.7768 0.5841  2 B 1.34-1.43
O 0.6336 0.0278 0.5767  2 B 1.40-1.41
O 0.6336 0.9722 0.9233  2 B 1.40-1.41
O 0.6403 0.4702 0.9084  2 B 1.33-1.48
O 0.6403 0.5298 0.5916  2 B 1.33-1.48
O 0.6554 0.2824 0.5410  2 B 1.32-1.46
O 0.6554 0.7176 0.9590  2 B 1.32-1.46
O 0.7176 0.3446 0.7090  2 B 1.32-1.46
O 0.7176 0.6554 0.7910  2 B 1.32-1.46
O 0.7768 0.4064 0.3341  2 B 1.34-1.43
O 0.7768 0.5936 0.1659  2 B 1.34-1.43
O 0.7817 0.1332 0.0208  2 B 1.38-1.40
O 0.7817 0.8668 0.4792  2 B 1.38-1.40
O 0.8032 0.1204 0.4555  2 B 1.36-1.41
O 0.8032 0.8796 0.0445  2 B 1.36-1.41
O 0.8668 0.2183 0.2292  2 B 1.38-1.40
O 0.8668 0.7817 0.2708  2 B 1.38-1.40
O 0.8796 0.1968 0.7945  2 B 1.36-1.41
O 0.8796 0.8032 0.7055  2 B 1.36-1.41
O 0.9659 0.0341 0.1250  2 B 1.37
O 0.9659 0.9659 0.3750  2 B 1.37
O 0.9722 0.3664 0.6733  2 B 1.40-1.41
O 0.9722 0.6336 0.8267  2 B 1.40-1.41